No. 1
Entry from Materials Project: a geometry-optimized UAs2H12C12O8 structure (PBE).

Results
The symmetry is P2_1/c (14). The value obtained for the energy is -931.813 eV for the cell shown. The energy of formation is -0.766 eV/atom. Its crystal system is monoclinic.

abc: 18.801 7.122 13.173
angles: 90.00 104.81 90.00
Fractional coordinates of all 140 atoms:
U1 0.244 0.223 0.324
U2 0.244 0.277 0.824
U3 0.756 0.723 0.176
U4 0.756 0.777 0.676
As1 0.217 0.525 0.554
As2 0.217 0.975 0.054
As3 0.285 0.718 0.255
As4 0.285 0.782 0.755
As5 0.715 0.218 0.245
As6 0.715 0.282 0.745
As7 0.783 0.025 0.946
As8 0.783 0.475 0.446
H1 0.003 0.709 0.779
H2 0.003 0.791 0.279
H3 0.027 0.234 0.408
H4 0.027 0.266 0.908
H5 0.074 0.157 0.598
H6 0.074 0.343 0.098
H7 0.099 0.628 0.658
H8 0.099 0.872 0.158
H9 0.131 0.656 0.344
H10 0.131 0.844 0.844
H11 0.251 0.153 0.561
H12 0.251 0.347 0.061
H13 0.264 0.552 0.021
H14 0.264 0.948 0.521
H15 0.384 0.662 0.957
H16 0.384 0.838 0.457
H17 0.402 0.148 0.062
H18 0.402 0.352 0.562
H19 0.408 0.534 0.184
H20 0.408 0.966 0.684
H21 0.457 0.011 0.238
H22 0.457 0.489 0.738
H23 0.480 0.194 0.463
H24 0.480 0.306 0.963
H25 0.520 0.694 0.037
H26 0.520 0.806 0.537
H27 0.543 0.511 0.262
H28 0.543 0.989 0.762
H29 0.592 0.034 0.316
H30 0.592 0.466 0.816
H31 0.598 0.648 0.438
H32 0.598 0.852 0.938
H33 0.616 0.162 0.543
H34 0.616 0.338 0.043
H35 0.736 0.052 0.479
H36 0.736 0.448 0.979
H37 0.749 0.653 0.939
H38 0.749 0.847 0.439
H39 0.869 0.156 0.156
H40 0.869 0.344 0.656
H41 0.901 0.128 0.842
H42 0.901 0.372 0.342
H43 0.926 0.657 0.902
H44 0.926 0.843 0.402
H45 0.973 0.734 0.092
H46 0.973 0.766 0.592
H47 0.997 0.209 0.721
H48 0.997 0.291 0.221
C1 0.008 0.743 0.538
C2 0.008 0.757 0.038
C3 0.018 0.214 0.568
C4 0.018 0.286 0.068
C5 0.025 0.744 0.862
C6 0.025 0.756 0.362
C7 0.078 0.667 0.575
C8 0.078 0.833 0.075
C9 0.096 0.681 0.398
C10 0.096 0.819 0.898
C11 0.121 0.637 0.504
C12 0.121 0.863 0.004
C13 0.390 0.692 0.315
C14 0.390 0.808 0.815
C15 0.420 0.732 0.915
C16 0.420 0.768 0.415
C17 0.433 0.597 0.260
C18 0.433 0.903 0.760
C19 0.461 0.160 0.097
C20 0.461 0.340 0.597
C21 0.492 0.083 0.196
C22 0.492 0.417 0.696
C23 0.495 0.750 0.459
C24 0.495 0.750 0.959
C25 0.505 0.250 0.041
C26 0.505 0.250 0.541
C27 0.508 0.583 0.304
C28 0.508 0.917 0.804
C29 0.539 0.660 0.403
C30 0.539 0.840 0.903
C31 0.567 0.097 0.240
C32 0.567 0.403 0.740
C33 0.580 0.232 0.585
C34 0.580 0.268 0.085
C35 0.610 0.192 0.185
C36 0.610 0.308 0.685
C37 0.879 0.137 0.996
C38 0.879 0.363 0.496
C39 0.904 0.181 0.102
C40 0.904 0.319 0.602
C41 0.922 0.167 0.925
C42 0.922 0.333 0.425
C43 0.975 0.244 0.638
C44 0.975 0.256 0.138
C45 0.982 0.714 0.932
C46 0.982 0.786 0.432
C47 0.992 0.243 0.962
C48 0.992 0.257 0.462
O1 0.146 0.221 0.313
O2 0.146 0.279 0.813
O3 0.219 0.154 0.140
O4 0.219 0.346 0.640
O5 0.238 0.512 0.238
O6 0.238 0.988 0.738
O7 0.245 0.616 0.814
O8 0.245 0.884 0.314
O9 0.256 0.043 0.957
O10 0.256 0.457 0.457
O11 0.268 0.082 0.507
O12 0.268 0.418 0.007
O13 0.278 0.710 0.620
O14 0.278 0.790 0.120
O15 0.342 0.216 0.336
O16 0.342 0.284 0.836
O17 0.658 0.716 0.164
O18 0.658 0.784 0.664
O19 0.722 0.210 0.880
O20 0.722 0.290 0.380
O21 0.732 0.582 0.993
O22 0.732 0.918 0.493
O23 0.744 0.543 0.543
O24 0.744 0.957 0.043
O25 0.755 0.116 0.686
O26 0.755 0.384 0.186
O27 0.762 0.012 0.262
O28 0.762 0.488 0.762
O29 0.781 0.654 0.360
O30 0.781 0.846 0.860
O31 0.854 0.721 0.187
O32 0.854 0.779 0.687

---

No. 2
Entry from Materials Project: a geometry-optimized Si3AsH27C9 structure (PBE).

Results
The symmetry is P2_1/c (14). The value obtained for the energy is -815.661 eV for the cell shown. The energy of formation is -0.208 eV/atom. Its crystal system is monoclinic.

abc: 10.609 16.298 13.319
angles: 90.00 114.96 90.00
Fractional coordinates of all 160 atoms:
Si1 0.019 0.208 0.474
Si2 0.019 0.292 0.974
Si3 0.290 0.116 0.063
Si4 0.290 0.384 0.563
Si5 0.410 0.159 0.601
Si6 0.410 0.341 0.101
Si7 0.590 0.659 0.899
Si8 0.590 0.841 0.399
Si9 0.710 0.616 0.437
Si10 0.710 0.884 0.937
Si11 0.981 0.708 0.026
Si12 0.981 0.792 0.526
As1 0.238 0.249 0.976
As2 0.238 0.251 0.476
As3 0.762 0.749 0.524
As4 0.762 0.751 0.024
H1 0.018 0.073 0.383
H2 0.018 0.427 0.883
H3 0.064 0.650 0.519
H4 0.064 0.850 0.019
H5 0.067 0.213 0.675
H6 0.067 0.287 0.175
H7 0.071 0.649 0.218
H8 0.071 0.851 0.718
H9 0.080 0.650 0.901
H10 0.080 0.850 0.401
H11 0.082 0.048 0.915
H12 0.082 0.452 0.415
H13 0.091 0.113 0.635
H14 0.091 0.387 0.135
H15 0.123 0.684 0.659
H16 0.123 0.816 0.159
H17 0.129 0.107 0.156
H18 0.129 0.393 0.656
H19 0.152 0.603 0.139
H20 0.152 0.897 0.639
H21 0.205 0.720 0.575
H22 0.205 0.780 0.075
H23 0.215 0.524 0.489
H24 0.215 0.976 0.989
H25 0.230 0.039 0.885
H26 0.230 0.461 0.385
H27 0.247 0.040 0.563
H28 0.247 0.460 0.063
H29 0.270 0.038 0.217
H30 0.270 0.462 0.717
H31 0.294 0.144 0.250
H32 0.294 0.356 0.750
H33 0.337 0.036 0.476
H34 0.337 0.464 0.976
H35 0.345 0.630 0.862
H36 0.345 0.870 0.362
H37 0.357 0.167 0.767
H38 0.357 0.333 0.267
H39 0.386 0.735 0.902
H40 0.386 0.765 0.402
H41 0.423 0.007 0.618
H42 0.423 0.493 0.118
H43 0.441 0.656 0.004
H44 0.441 0.844 0.504
H45 0.456 0.643 0.328
H46 0.456 0.857 0.828
H47 0.471 0.629 0.695
H48 0.471 0.871 0.195
H49 0.488 0.595 0.457
H50 0.488 0.905 0.957
H51 0.492 0.236 0.779
H52 0.492 0.264 0.279
H53 0.493 0.536 0.346
H54 0.493 0.964 0.846
H55 0.507 0.036 0.154
H56 0.507 0.464 0.654
H57 0.508 0.736 0.721
H58 0.508 0.764 0.221
H59 0.512 0.095 0.043
H60 0.512 0.405 0.543
H61 0.529 0.129 0.805
H62 0.529 0.371 0.305
H63 0.544 0.143 0.172
H64 0.544 0.357 0.672
H65 0.559 0.156 0.496
H66 0.559 0.344 0.996
H67 0.577 0.507 0.882
H68 0.577 0.993 0.382
H69 0.614 0.235 0.598
H70 0.614 0.265 0.098
H71 0.643 0.667 0.733
H72 0.643 0.833 0.233
H73 0.655 0.130 0.638
H74 0.655 0.370 0.138
H75 0.663 0.536 0.024
H76 0.663 0.964 0.524
H77 0.706 0.644 0.250
H78 0.706 0.856 0.750
H79 0.730 0.538 0.283
H80 0.730 0.962 0.783
H81 0.753 0.540 0.937
H82 0.753 0.960 0.437
H83 0.770 0.539 0.615
H84 0.770 0.961 0.115
H85 0.785 0.024 0.011
H86 0.785 0.476 0.511
H87 0.795 0.220 0.925
H88 0.795 0.280 0.425
H89 0.848 0.103 0.361
H90 0.848 0.397 0.861
H91 0.871 0.607 0.344
H92 0.871 0.893 0.844
H93 0.877 0.184 0.841
H94 0.877 0.316 0.341
H95 0.909 0.613 0.865
H96 0.909 0.887 0.365
H97 0.918 0.548 0.585
H98 0.918 0.952 0.085
H99 0.920 0.150 0.599
H100 0.920 0.350 0.099
H101 0.929 0.149 0.282
H102 0.929 0.351 0.782
H103 0.933 0.713 0.825
H104 0.933 0.787 0.325
H105 0.936 0.150 0.981
H106 0.936 0.350 0.481
H107 0.982 0.573 0.117
H108 0.982 0.927 0.617
C1 0.025 0.167 0.608
C2 0.025 0.333 0.108
C3 0.052 0.625 0.136
C4 0.052 0.875 0.636
C5 0.104 0.703 0.574
C6 0.104 0.797 0.074
C7 0.195 0.038 0.952
C8 0.195 0.462 0.452
C9 0.242 0.100 0.183
C10 0.242 0.400 0.683
C11 0.348 0.050 0.560
C12 0.348 0.450 0.060
C13 0.426 0.672 0.919
C14 0.426 0.828 0.419
C15 0.451 0.174 0.752
C16 0.451 0.326 0.252
C17 0.482 0.096 0.112
C18 0.482 0.404 0.612
C19 0.518 0.596 0.388
C20 0.518 0.904 0.888
C21 0.549 0.674 0.748
C22 0.549 0.826 0.248
C23 0.574 0.172 0.581
C24 0.574 0.328 0.081
C25 0.652 0.550 0.940
C26 0.652 0.950 0.440
C27 0.758 0.600 0.317
C28 0.758 0.900 0.817
C29 0.805 0.538 0.548
C30 0.805 0.962 0.048
C31 0.896 0.203 0.926
C32 0.896 0.297 0.426
C33 0.948 0.125 0.364
C34 0.948 0.375 0.864
C35 0.975 0.667 0.892
C36 0.975 0.833 0.392

---

No. 3
Entry from Materials Project: a geometry-optimized ZnSi4As2H36C12 structure (PBE).

Results
The symmetry is P-1 (2). The value obtained for the energy is -552.389 eV for the cell shown. The energy of formation is -0.201 eV/atom. Its crystal system is triclinic.

abc: 9.997 11.062 12.748
angles: 92.72 104.95 105.82
Fractional coordinates of all 110 atoms:
Zn1 0.017 0.386 0.095
Zn2 0.983 0.614 0.905
Si1 0.139 0.329 0.849
Si2 0.144 0.806 0.714
Si3 0.263 0.323 0.338
Si4 0.269 0.805 0.200
Si5 0.731 0.195 0.800
Si6 0.737 0.677 0.662
Si7 0.856 0.194 0.286
Si8 0.861 0.671 0.151
As1 0.045 0.214 0.201
As2 0.064 0.627 0.110
As3 0.936 0.373 0.890
As4 0.955 0.786 0.799
H1 0.039 0.211 0.658
H2 0.042 0.915 0.557
H3 0.051 0.633 0.555
H4 0.081 0.377 0.654
H5 0.095 0.099 0.873
H6 0.140 0.581 0.676
H7 0.151 0.973 0.144
H8 0.152 0.027 0.672
H9 0.183 0.195 0.000
H10 0.199 0.452 0.475
H11 0.203 0.869 0.366
H12 0.220 0.533 0.361
H13 0.222 0.304 0.685
H14 0.232 0.935 0.044
H15 0.234 0.955 0.588
H16 0.238 0.181 0.484
H17 0.244 0.682 0.602
H18 0.281 0.559 0.871
H19 0.283 0.181 0.905
H20 0.293 0.751 0.392
H21 0.316 0.496 0.998
H22 0.323 0.126 0.394
H23 0.328 0.785 0.884
H24 0.333 0.946 0.877
H25 0.341 0.031 0.169
H26 0.376 0.525 0.464
H27 0.378 0.435 0.202
H28 0.393 0.910 0.389
H29 0.397 0.461 0.896
H30 0.413 0.871 0.793
H31 0.415 0.287 0.216
H32 0.423 0.257 0.496
H33 0.428 0.743 0.096
H34 0.447 0.680 0.223
H35 0.467 0.157 0.780
H36 0.488 0.581 0.681
H37 0.512 0.419 0.319
H38 0.533 0.843 0.220
H39 0.553 0.320 0.777
H40 0.572 0.257 0.904
H41 0.577 0.743 0.504
H42 0.585 0.713 0.784
H43 0.587 0.129 0.207
H44 0.603 0.539 0.104
H45 0.607 0.090 0.611
H46 0.622 0.565 0.798
H47 0.624 0.475 0.536
H48 0.659 0.969 0.831
H49 0.667 0.054 0.123
H50 0.672 0.215 0.116
H51 0.677 0.874 0.606
H52 0.684 0.504 0.002
H53 0.707 0.249 0.608
H54 0.717 0.819 0.095
H55 0.719 0.441 0.129
H56 0.756 0.318 0.398
H57 0.762 0.819 0.516
H58 0.766 0.045 0.412
H59 0.768 0.065 0.956
H60 0.778 0.696 0.315
H61 0.780 0.467 0.639
H62 0.797 0.131 0.634
H63 0.801 0.548 0.525
H64 0.817 0.805 0.000
H65 0.848 0.973 0.328
H66 0.849 0.027 0.856
H67 0.860 0.419 0.324
H68 0.905 0.901 0.127
H69 0.919 0.623 0.346
H70 0.949 0.367 0.445
H71 0.958 0.085 0.443
H72 0.961 0.789 0.342
C1 0.117 0.303 0.697
C2 0.142 0.938 0.625
C3 0.144 0.662 0.629
C4 0.178 0.188 0.913
C5 0.246 0.948 0.133
C6 0.264 0.472 0.417
C7 0.290 0.836 0.351
C8 0.297 0.475 0.910
C9 0.316 0.211 0.437
C10 0.320 0.857 0.828
C11 0.405 0.370 0.261
C12 0.434 0.764 0.182
C13 0.566 0.236 0.818
C14 0.595 0.630 0.739
C15 0.680 0.143 0.172
C16 0.684 0.789 0.563
C17 0.703 0.525 0.090
C18 0.710 0.164 0.649
C19 0.736 0.528 0.583
C20 0.754 0.052 0.867
C21 0.822 0.812 0.087
C22 0.856 0.338 0.371
C23 0.858 0.062 0.375
C24 0.883 0.697 0.303